A geometry-optimized RbCaCl3 structure, computed with PBE.

Output
**Uncorrected energy**: -3.941 eV/atom
**Calculated volume**: 31.94 Å³/atom

abc: 5.426 5.426 5.424
angles: 90.07 90.07 90.05
Atoms (fractional coordinates):
Rb1 0.000 0.000 0.000
Ca1 0.500 0.500 0.511
Cl1 0.492 0.492 0.011
Cl2 0.502 0.999 0.512
Cl3 0.999 0.502 0.512